Entry 1:
{"formula": "Sn2SeN2", "functional": "PBE", "state": "optimized geometry", "lattice_angstrom": [[3.650, 0.000, 0.000], [-1.825, 3.161, 0.000], [0.000, 0.000, 7.117]], "species": ["Sn", "Sn", "Se", "N", "N"], "frac_coords": [[0.333, 0.667, 0.299], [0.667, 0.333, 0.701], [0.000, 0.000, 0.000], [0.333, 0.667, 0.627], [0.667, 0.333, 0.373]], "corrected_energy_ev_per_atom": -5.493, "formation_enthalpy_0k_ev_per_atom": 0.145, "rho_g_cm3": 6.967}

Entry 2:
{"formula": "NaCa2TiSi2O8F", "functional": "PBE", "state": "optimized geometry", "lattice_angstrom": [[5.804, 0.000, 0.000], [0.006, 7.632, 0.000], [0.109, 3.809, 19.067]], "species": ["Na", "Na", "Na", "Na", "Ca", "Ca", "Ca", "Ca", "Ca", "Ca", "Ca", "Ca", "Ti", "Ti", "Ti", "Ti", "Si", "Si", "Si", "Si", "Si", "Si", "Si", "Si", "O", "O", "O", "O", "O", "O", "O", "O", "O", "O", "O", "O", "O", "O", "O", "O", "O", "O", "O", "O", "O", "O", "O", "O", "O", "O", "O", "O", "O", "O", "O", "O", "F", "F", "F", "F"], "frac_coords": [[0.000, 0.000, 0.000], [0.000, 0.494, 0.000], [0.283, 0.503, 0.505], [0.287, 0.979, 0.506], [0.077, 0.663, 0.670], [0.111, 0.164, 0.666], [0.199, 0.159, 0.173], [0.212, 0.663, 0.174], [0.482, 0.839, 0.323], [0.490, 0.338, 0.319], [0.795, 0.341, 0.819], [0.803, 0.836, 0.820], [0.425, 0.763, 0.968], [0.557, 0.236, 0.022], [0.762, 0.236, 0.513], [0.839, 0.765, 0.471], [0.307, 0.094, 0.841], [0.307, 0.555, 0.844], [0.595, 0.949, 0.646], [0.598, 0.399, 0.644], [0.707, 0.904, 0.148], [0.709, 0.441, 0.150], [0.976, 0.096, 0.346], [0.977, 0.562, 0.344], [0.061, 0.225, 0.542], [0.072, 0.602, 0.801], [0.082, 0.098, 0.792], [0.212, 0.089, 0.303], [0.214, 0.610, 0.301], [0.256, 0.225, 0.044], [0.269, 0.971, 0.918], [0.287, 0.587, 0.924], [0.291, 0.724, 0.053], [0.334, 0.890, 0.663], [0.340, 0.444, 0.663], [0.476, 0.399, 0.195], [0.479, 0.902, 0.195], [0.539, 0.773, 0.450], [0.555, 0.590, 0.809], [0.562, 0.095, 0.811], [0.617, 0.281, 0.432], [0.630, 0.406, 0.561], [0.632, 0.018, 0.562], [0.685, 0.017, 0.069], [0.692, 0.402, 0.071], [0.698, 0.278, 0.939], [0.724, 0.776, 0.947], [0.730, 0.595, 0.308], [0.731, 0.095, 0.310], [0.818, 0.887, 0.691], [0.824, 0.414, 0.690], [0.963, 0.717, 0.555], [0.964, 0.408, 0.180], [0.965, 0.909, 0.176], [0.989, 0.984, 0.426], [0.992, 0.600, 0.423], [0.022, 0.320, 0.363], [0.272, 0.312, 0.863], [0.563, 0.161, 0.671], [0.705, 0.682, 0.129]], "corrected_energy_ev_per_atom": -7.574, "formation_enthalpy_0k_ev_per_atom": -3.202, "rho_g_cm3": 2.786}

Entry 3:
{"formula": "K2Pd3Se2", "functional": "PBE", "state": "optimized geometry", "lattice_angstrom": [[0.000, 5.164, 19.108], [4.541, 0.000, 19.108], [4.541, 5.164, 0.000]], "species": ["K", "K", "K", "K", "K", "K", "K", "K", "Pd", "Pd", "Pd", "Pd", "Pd", "Pd", "Pd", "Pd", "Pd", "Pd", "Pd", "Pd", "Se", "Se", "Se", "Se", "Se", "Se", "Se", "Se"], "frac_coords": [[0.048, 0.590, 0.189], [0.189, 0.672, 0.048], [0.328, 0.811, 0.410], [0.410, 0.952, 0.328], [0.590, 0.048, 0.672], [0.672, 0.189, 0.590], [0.811, 0.328, 0.952], [0.952, 0.410, 0.811], [0.000, 0.000, 0.000], [0.000, 0.000, 0.500], [0.000, 0.500, 0.000], [0.208, 0.290, 0.318], [0.290, 0.208, 0.684], [0.316, 0.682, 0.710], [0.318, 0.684, 0.208], [0.500, 0.000, 0.000], [0.682, 0.316, 0.792], [0.684, 0.318, 0.290], [0.710, 0.792, 0.316], [0.792, 0.710, 0.682], [0.079, 0.513, 0.695], [0.213, 0.695, 0.513], [0.305, 0.787, 0.921], [0.487, 0.921, 0.787], [0.513, 0.079, 0.213], [0.695, 0.213, 0.079], [0.787, 0.305, 0.487], [0.921, 0.487, 0.305]], "corrected_energy_ev_per_atom": -4.139, "formation_enthalpy_0k_ev_per_atom": -0.603, "rho_g_cm3": 4.117}

Entry 4:
{"formula": "Li2SnPd", "functional": "PBE", "state": "optimized geometry", "lattice_angstrom": [[6.388, 0.000, 0.000], [0.000, 6.388, 0.000], [0.000, 0.000, 6.388]], "species": ["Li", "Li", "Li", "Li", "Li", "Li", "Li", "Li", "Sn", "Sn", "Sn", "Sn", "Pd", "Pd", "Pd", "Pd"], "frac_coords": [[0.000, 0.000, 0.000], [0.000, 0.500, 0.500], [0.250, 0.250, 0.250], [0.250, 0.750, 0.750], [0.500, 0.000, 0.500], [0.500, 0.500, 0.000], [0.750, 0.250, 0.750], [0.750, 0.750, 0.250], [0.250, 0.250, 0.750], [0.250, 0.750, 0.250], [0.750, 0.250, 0.250], [0.750, 0.750, 0.750], [0.000, 0.000, 0.500], [0.000, 0.500, 0.000], [0.500, 0.000, 0.000], [0.500, 0.500, 0.500]], "formation_enthalpy_0k_ev_per_atom": -0.586, "rho_g_cm3": 6.091}

Entry 5:
{"formula": "CeMg2", "functional": "PBE", "state": "optimized geometry", "lattice_angstrom": [[0.000, 4.313, 4.313], [4.313, 0.000, 4.313], [4.313, 4.313, 0.000]], "species": ["Ce", "Ce", "Mg", "Mg", "Mg", "Mg"], "frac_coords": [[0.125, 0.125, 0.125], [0.875, 0.875, 0.875], [0.000, 0.500, 0.500], [0.500, 0.000, 0.500], [0.500, 0.500, 0.000], [0.500, 0.500, 0.500]], "formation_enthalpy_0k_ev_per_atom": 0.018, "rho_g_cm3": 3.907}

Entry 6:
{"formula": "GaFe3", "functional": "PBE", "state": "optimized geometry", "lattice_angstrom": [[3.661, 0.000, 0.000], [0.000, 3.661, 0.000], [0.000, 0.000, 3.661]], "species": ["Ga", "Fe", "Fe", "Fe"], "frac_coords": [[0.000, 0.000, 0.000], [0.000, 0.500, 0.500], [0.500, 0.000, 0.500], [0.500, 0.500, 0.000]], "formation_enthalpy_0k_ev_per_atom": -0.135, "rho_g_cm3": 8.032}

Entry 7:
{"formula": "Ho5NiSb2", "functional": "PBE", "state": "optimized geometry", "lattice_angstrom": [[12.023, 0.000, 0.000], [0.000, 8.815, 0.000], [0.000, 0.000, 7.882]], "species": ["Ho", "Ho", "Ho", "Ho", "Ho", "Ho", "Ho", "Ho", "Ho", "Ho", "Ho", "Ho", "Ho", "Ho", "Ho", "Ho", "Ho", "Ho", "Ho", "Ho", "Ni", "Ni", "Ni", "Ni", "Sb", "Sb", "Sb", "Sb", "Sb", "Sb", "Sb", "Sb"], "frac_coords": [[0.001, 0.250, 0.045], [0.065, 0.543, 0.320], [0.065, 0.957, 0.320], [0.199, 0.250, 0.627], [0.207, 0.750, 0.659], [0.293, 0.250, 0.159], [0.301, 0.750, 0.127], [0.435, 0.043, 0.820], [0.435, 0.457, 0.820], [0.499, 0.750, 0.545], [0.501, 0.250, 0.455], [0.565, 0.543, 0.180], [0.565, 0.957, 0.180], [0.699, 0.250, 0.873], [0.707, 0.750, 0.841], [0.793, 0.250, 0.341], [0.801, 0.750, 0.373], [0.935, 0.043, 0.680], [0.935, 0.457, 0.680], [0.999, 0.750, 0.955], [0.016, 0.250, 0.417], [0.484, 0.750, 0.917], [0.516, 0.250, 0.083], [0.984, 0.750, 0.583], [0.173, 0.009, 0.929], [0.173, 0.491, 0.929], [0.327, 0.509, 0.429], [0.327, 0.991, 0.429], [0.673, 0.009, 0.571], [0.673, 0.491, 0.571], [0.827, 0.509, 0.071], [0.827, 0.991, 0.071]], "corrected_energy_ev_per_atom": -5.394, "formation_enthalpy_0k_ev_per_atom": -0.775, "rho_g_cm3": 8.961}

Entry 8:
{"formula": "MgTiZnBi2O6", "functional": "PBE", "state": "optimized geometry", "lattice_angstrom": [[6.806, 0.000, 0.000], [0.000, 3.108, 4.580], [0.000, -3.108, 4.580]], "species": ["Mg", "Ti", "Zn", "Bi", "Bi", "O", "O", "O", "O", "O", "O"], "frac_coords": [[0.000, 0.000, 0.000], [0.500, 0.317, 0.317], [0.000, 0.314, 0.314], [0.238, 0.688, 0.688], [0.762, 0.688, 0.688], [0.000, 0.377, 0.918], [0.000, 0.918, 0.377], [0.260, 0.417, 0.417], [0.500, 0.447, 0.963], [0.500, 0.963, 0.447], [0.740, 0.417, 0.417]], "corrected_energy_ev_per_atom": -6.378, "formation_enthalpy_0k_ev_per_atom": -1.994, "rho_g_cm3": 5.584}